1.
Here is an optimized crystal structure of Rb4Mo5H4Se2O23 from the Materials Project. Energies are from GGA+U.

**Polymorph energy (0 for the lowest one)**: 4 meV per atom
**Total moment**: 0.00 μB/atom
**Formation enthalpy at 0 K**: -1.8405 eV/atom
**Total DFT energy (no corrections)**: -6.07 eV per atom

Unit cell a=20.194 b=10.465 c=12.459 alpha=90.00 beta=106.40 gamma=90.00
Space group C2 (No. 5)
Asymmetric unit:
Rb 0.011 0.000 0.248 [4 per cell]
Rb 0.177 0.806 0.769 [4 per cell]
Rb 0.180 0.216 0.904 [4 per cell]
Rb 0.187 0.762 0.406 [4 per cell]
Mo 0.000 0.345 0.000 [2 per cell]
Mo 0.000 0.636 0.500 [2 per cell]
Mo 0.097 0.131 0.554 [4 per cell]
Mo 0.097 0.847 0.036 [4 per cell]
Mo 0.142 0.445 0.618 [4 per cell]
Mo 0.145 0.537 0.099 [4 per cell]
H 0.158 0.209 0.158 [4 per cell]
H 0.186 0.254 0.360 [4 per cell]
H 0.194 0.077 0.168 [4 per cell]
H 0.204 0.398 0.362 [4 per cell]
Se 0.008 0.621 0.833 [4 per cell]
Se 0.019 0.359 0.339 [4 per cell]
O 0.000 0.087 0.500 [2 per cell]
O 0.000 0.895 0.000 [2 per cell]
O 0.034 0.242 0.919 [4 per cell]
O 0.041 0.739 0.429 [4 per cell]
O 0.054 0.514 0.934 [4 per cell]
O 0.056 0.313 0.626 [4 per cell]
O 0.056 0.755 0.857 [4 per cell]
O 0.058 0.467 0.445 [4 per cell]
O 0.060 0.668 0.114 [4 per cell]
O 0.069 0.227 0.375 [4 per cell]
O 0.076 0.582 0.629 [4 per cell]
O 0.082 0.399 0.119 [4 per cell]
O 0.115 0.065 0.689 [4 per cell]
O 0.127 0.912 0.171 [4 per cell]
O 0.128 0.957 0.956 [4 per cell]
O 0.134 0.018 0.485 [4 per cell]
O 0.162 0.707 0.044 [4 per cell]
O 0.164 0.269 0.578 [4 per cell]
O 0.185 0.441 0.760 [4 per cell]
O 0.189 0.553 0.241 [4 per cell]
O 0.197 0.165 0.145 [4 per cell]
O 0.198 0.526 0.559 [4 per cell]
O 0.201 0.450 0.044 [4 per cell]
O 0.225 0.313 0.369 [4 per cell]

---

2.
Here is an optimized crystal structure of Na2MnBAsO7 from the Materials Project. Energies are from GGA+U.

**Total moment**: 0.25 μB/atom
**Formation enthalpy at 0 K**: -2.0836 eV/atom
**Total DFT energy (no corrections)**: -6.36 eV per atom

Unit cell a=5.467 b=6.583 c=9.232 alpha=90.00 beta=93.04 gamma=90.00
Space group P2_1/m (No. 11)
Asymmetric unit:
Na 0.236 0.005 0.288 [4 per cell]
Mn 0.216 0.750 0.837 [2 per cell]
B 0.273 0.750 0.579 [2 per cell]
As 0.281 0.250 0.933 [2 per cell]
O 0.048 0.750 0.647 [2 per cell]
O 0.130 0.250 0.091 [2 per cell]
O 0.197 0.048 0.822 [4 per cell]
O 0.305 0.750 0.439 [2 per cell]
O 0.405 0.750 0.028 [2 per cell]
O 0.458 0.750 0.693 [2 per cell]

---

3.
Here is an optimized crystal structure of FeOF from the Materials Project. Energies are from GGA+U.

**Total moment**: 1.63 μB/atom
**Formation enthalpy at 0 K**: -2.0145 eV/atom
**Total DFT energy (no corrections)**: -5.99 eV per atom

Unit cell a=14.240 b=3.088 c=14.240 alpha=90.00 beta=90.04 gamma=90.00
Space group Pm (No. 6)
Asymmetric unit:
Fe 0.000 0.000 0.000 [1 per cell]
Fe 0.001 0.000 0.337 [1 per cell]
Fe 0.010 0.000 0.670 [1 per cell]
Fe 0.172 0.500 0.475 [1 per cell]
Fe 0.179 0.500 0.160 [1 per cell]
Fe 0.183 0.500 0.819 [1 per cell]
Fe 0.339 0.000 0.667 [1 per cell]
Fe 0.341 0.000 0.338 [1 per cell]
Fe 0.349 0.000 0.976 [1 per cell]
Fe 0.500 0.500 0.139 [1 per cell]
Fe 0.501 0.500 0.814 [1 per cell]
Fe 0.510 0.500 0.481 [1 per cell]
Fe 0.649 0.000 0.654 [1 per cell]
Fe 0.668 0.000 0.001 [1 per cell]
Fe 0.670 0.000 0.335 [1 per cell]
Fe 0.834 0.500 0.143 [1 per cell]
Fe 0.836 0.500 0.479 [1 per cell]
Fe 0.843 0.500 0.812 [1 per cell]
O 0.107 0.000 0.761 [1 per cell]
O 0.108 0.000 0.424 [1 per cell]
O 0.236 0.000 0.889 [1 per cell]
O 0.274 0.500 0.716 [1 per cell]
O 0.275 0.500 0.387 [1 per cell]
O 0.410 0.500 0.920 [1 per cell]
O 0.437 0.000 0.090 [1 per cell]
O 0.443 0.000 0.425 [1 per cell]
O 0.446 0.000 0.753 [1 per cell]
O 0.568 0.000 0.550 [1 per cell]
O 0.608 0.500 0.382 [1 per cell]
O 0.609 0.500 0.052 [1 per cell]
O 0.613 0.500 0.724 [1 per cell]
O 0.775 0.000 0.425 [1 per cell]
O 0.776 0.000 0.087 [1 per cell]
O 0.938 0.500 0.722 [1 per cell]
O 0.940 0.500 0.389 [1 per cell]
O 0.942 0.500 0.054 [1 per cell]
F 0.064 0.500 0.926 [1 per cell]
F 0.066 0.500 0.257 [1 per cell]
F 0.070 0.500 0.591 [1 per cell]
F 0.108 0.000 0.087 [1 per cell]
F 0.237 0.000 0.553 [1 per cell]
F 0.246 0.000 0.225 [1 per cell]
F 0.276 0.500 0.049 [1 per cell]
F 0.400 0.500 0.587 [1 per cell]
F 0.406 0.500 0.258 [1 per cell]
F 0.572 0.000 0.217 [1 per cell]
F 0.579 0.000 0.887 [1 per cell]
F 0.741 0.500 0.255 [1 per cell]
F 0.742 0.500 0.594 [1 per cell]
F 0.745 0.500 0.916 [1 per cell]
F 0.775 0.000 0.757 [1 per cell]
F 0.902 0.000 0.886 [1 per cell]
F 0.904 0.000 0.219 [1 per cell]
F 0.907 0.000 0.558 [1 per cell]

---

4.
Here is an optimized crystal structure of Sr2PrCoO6 from the Materials Project. Energies are from GGA+U.

**Total moment**: 0.20 μB/atom
**Formation enthalpy at 0 K**: -2.4239 eV/atom
**Total DFT energy (no corrections)**: -6.34 eV per atom

Unit cell a=8.284 b=8.284 c=8.284 alpha=90.00 beta=90.00 gamma=90.00
Space group Fm-3m (No. 225)
Asymmetric unit:
Sr 0.250 0.250 0.250 [8 per cell]
Pr 0.000 0.000 0.000 [4 per cell]
Co 0.000 0.000 0.500 [4 per cell]
O 0.000 0.000 0.276 [24 per cell]

---

5.
Here is an optimized crystal structure of NdFe3B4O12 from the Materials Project. Energies are from GGA+U.

**Total moment**: 0.75 μB/atom
**Formation enthalpy at 0 K**: -2.5725 eV/atom
**Total DFT energy (no corrections)**: -7.64 eV per atom

Unit cell a=9.6888 b=9.6888 c=7.7248 alpha=90.00 beta=90.00 gamma=120.00
Space group R32 (No. 155, hexagonal axes)
Asymmetric unit:
Nd 0.0000 0.0000 0.0000 [3 per cell]
Fe 0.0000 0.4493 0.0000 [9 per cell]
B 0.0000 0.0000 0.5000 [3 per cell]
B 0.0000 0.5534 0.5000 [9 per cell]
O 0.0000 0.1434 0.5000 [9 per cell]
O 0.0000 0.4100 0.5000 [9 per cell]
O 0.0252 0.8112 0.1848 [18 per cell]

---

6.
Here is an optimized crystal structure of CsNaMoH2O4 from the Materials Project. Energies are from GGA+U.

**Total moment**: 0.22 μB/atom
**Formation enthalpy at 0 K**: -1.1002 eV/atom
**Total DFT energy (no corrections)**: -4.84 eV per atom

Unit cell a=6.833 b=7.943 c=13.668 alpha=90.00 beta=90.00 gamma=90.00
Space group P2_12_12_1 (No. 19)
Asymmetric unit:
Cs 0.063 0.165 0.355 [4 per cell]
Na 0.136 0.229 0.004 [4 per cell]
Mo 0.059 0.078 0.638 [4 per cell]
H 0.118 0.558 0.594 [4 per cell]
H 0.138 0.703 0.358 [4 per cell]
O 0.047 0.273 0.572 [4 per cell]
O 0.094 0.910 0.546 [4 per cell]
O 0.167 0.547 0.799 [4 per cell]
O 0.236 0.916 0.220 [4 per cell]